The following is a DFT calculation (PBE) of a relaxed structure of CePtRh.

Cell and atoms, written as CIF:
```
data_CePtRh
_cell_length_a 5.387
_cell_length_b 5.479
_cell_length_c 7.687
_cell_angle_alpha 90.00
_cell_angle_beta 90.00
_cell_angle_gamma 90.00
_symmetry_space_group_name_H-M 'I m m a'
_symmetry_Int_Tables_number 74
_symmetry_space_group_name_Hall '-I 2b 2'
loop_
_atom_site_label
_atom_site_type_symbol
_atom_site_fract_x
_atom_site_fract_y
_atom_site_fract_z
Ce1 Ce 0.000 0.250 0.126
Pt1 Pt 0.250 0.250 0.750
Rh1 Rh 0.000 0.000 0.500
```

Output
Electronic total energy in eV/atom: -7.343
Energy relative to the elements in eV/atom: -0.887


The following is a DFT calculation (PBE) of a relaxed structure of CePt4Rh.

Cell and atoms, written as CIF:
```
data_CePt4Rh
_cell_length_a 5.3699
_cell_length_b 5.3699
_cell_length_c 4.4361
_cell_angle_alpha 90.00
_cell_angle_beta 90.00
_cell_angle_gamma 120.00
_symmetry_space_group_name_H-M 'P -6 m 2'
_symmetry_Int_Tables_number 187
_symmetry_space_group_name_Hall 'P -6 2'
loop_
_atom_site_label
_atom_site_type_symbol
_atom_site_fract_x
_atom_site_fract_y
_atom_site_fract_z
Ce1 Ce 0.0000 0.0000 0.0000
Pt1 Pt 0.0013 0.5007 0.5000
Pt2 Pt 0.6667 0.3333 0.0000
Rh1 Rh 0.3333 0.6667 0.0000
```

Output
Electronic total energy in eV/atom: -6.909
Energy relative to the elements in eV/atom: -0.645


The following is a DFT calculation (PBE) of a relaxed structure of CeSbPt.

Cell and atoms, written as CIF:
```
data_CeSbPt
_cell_length_a 5.0875
_cell_length_b 5.0875
_cell_length_c 5.9282
_cell_angle_alpha 90.00
_cell_angle_beta 90.00
_cell_angle_gamma 120.00
_symmetry_space_group_name_H-M 'P -3 m 1'
_symmetry_Int_Tables_number 164
_symmetry_space_group_name_Hall '-P 3 2"'
loop_
_atom_site_label
_atom_site_type_symbol
_atom_site_fract_x
_atom_site_fract_y
_atom_site_fract_z
Ce1 Ce 0.0000 0.0000 0.2290
Sb1 Sb 0.3333 0.6667 0.5035
Pt1 Pt 0.3333 0.6667 0.9998
```

Output
Electronic total energy in eV/atom: -6.046
Energy relative to the elements in eV/atom: -0.668


The following is a DFT calculation (PBE) of a relaxed structure of Ce3Si11Pt23.

Cell and atoms, written as CIF:
```
data_Ce3Si11Pt23
_cell_length_a 17.060
_cell_length_b 17.060
_cell_length_c 17.060
_cell_angle_alpha 90.00
_cell_angle_beta 90.00
_cell_angle_gamma 90.00
_symmetry_space_group_name_H-M 'F m -3 m'
_symmetry_Int_Tables_number 225
_symmetry_space_group_name_Hall '-F 4 2 3'
loop_
_atom_site_label
_atom_site_type_symbol
_atom_site_fract_x
_atom_site_fract_y
_atom_site_fract_z
Ce1 Ce 0.000 0.250 0.250
Si1 Si 0.000 0.000 0.171
Si2 Si 0.106 0.106 0.394
Si3 Si 0.166 0.166 0.166
Pt1 Pt 0.000 0.000 0.374
Pt2 Pt 0.083 0.083 0.083
Pt3 Pt 0.084 0.084 0.252
Pt4 Pt 0.191 0.191 0.309
```

Output
Electronic total energy in eV/atom: -6.745
Energy relative to the elements in eV/atom: -0.877


The following is a DFT calculation (PBE) of a relaxed structure of CeSi3Pt.

Cell and atoms, written as CIF:
```
data_CeSi3Pt
_cell_length_a 4.318
_cell_length_b 4.318
_cell_length_c 9.575
_cell_angle_alpha 90.00
_cell_angle_beta 90.00
_cell_angle_gamma 90.00
_symmetry_space_group_name_H-M 'I 4 m m'
_symmetry_Int_Tables_number 107
_symmetry_space_group_name_Hall 'I 4 -2'
loop_
_atom_site_label
_atom_site_type_symbol
_atom_site_fract_x
_atom_site_fract_y
_atom_site_fract_z
Ce1 Ce 0.000 0.000 0.000
Si1 Si 0.000 0.000 0.399
Si2 Si 0.000 0.500 0.264
Pt1 Pt 0.000 0.000 0.650
```

Output
Electronic total energy in eV/atom: -6.455
Energy relative to the elements in eV/atom: -0.799


The following is a DFT calculation (PBE) of a relaxed structure of Ce2Si4Pt7.

Cell and atoms, written as CIF:
```
data_Ce2Si4Pt7
_cell_length_a 19.811
_cell_length_b 4.051
_cell_length_c 11.315
_cell_angle_alpha 90.00
_cell_angle_beta 90.00
_cell_angle_gamma 90.00
_symmetry_space_group_name_H-M 'P n m a'
_symmetry_Int_Tables_number 62
_symmetry_space_group_name_Hall '-P 2ac 2n'
loop_
_atom_site_label
_atom_site_type_symbol
_atom_site_fract_x
_atom_site_fract_y
_atom_site_fract_z
Ce1 Ce 0.029 0.250 0.243
Ce2 Ce 0.218 0.250 0.021
Si1 Si 0.085 0.750 0.061
Si2 Si 0.087 0.750 0.425
Si3 Si 0.094 0.250 0.752
Si4 Si 0.245 0.250 0.300
Pt1 Pt 0.033 0.250 0.566
Pt2 Pt 0.041 0.250 0.949
Pt3 Pt 0.128 0.750 0.621
Pt4 Pt 0.137 0.750 0.871
Pt5 Pt 0.149 0.750 0.241
Pt6 Pt 0.159 0.250 0.442
Pt7 Pt 0.215 0.250 0.694
```

Output
Electronic total energy in eV/atom: -6.841
Energy relative to the elements in eV/atom: -0.990